Entry from the Materials Project database: Na4CaAlP3O12 after structural relaxation (PBE-GGA).

POSCAR file:
```
Na4CaAlP3O12
1.0
9.173 0.000 0.000
-4.586 7.944 0.000
0.000 0.000 21.540
Ca O Na P Al
6 72 24 18 6
Direct
0.000 0.000 0.348
0.333 0.667 0.014
0.333 0.667 0.514
0.000 0.000 0.848
0.667 0.333 0.181
0.667 0.333 0.681
0.036 0.205 0.195
0.870 0.340 0.244
0.856 0.039 0.086
0.523 0.373 0.420
0.169 0.205 0.695
0.203 0.196 0.411
0.850 0.373 0.920
0.502 0.631 0.862
0.804 0.797 0.911
0.325 0.884 0.978
0.804 0.007 0.411
0.294 0.483 0.753
0.536 0.674 0.577
0.189 0.483 0.253
0.783 0.008 0.812
0.294 0.811 0.253
0.183 0.144 0.086
0.326 0.464 0.077
0.961 0.817 0.086
0.993 0.797 0.411
0.783 0.775 0.312
0.892 0.550 0.145
0.128 0.631 0.362
0.326 0.863 0.577
0.558 0.884 0.478
0.892 0.341 0.645
0.471 0.130 0.244
0.836 0.297 0.528
0.558 0.675 0.978
0.471 0.340 0.744
0.461 0.164 0.528
0.992 0.217 0.312
0.627 0.150 0.420
0.659 0.108 0.145
0.036 0.831 0.695
0.450 0.108 0.645
0.203 0.007 0.911
0.225 0.008 0.312
0.502 0.872 0.362
0.870 0.529 0.744
0.703 0.539 0.528
0.517 0.811 0.753
0.992 0.775 0.812
0.659 0.550 0.645
0.369 0.872 0.862
0.795 0.964 0.695
0.461 0.297 0.028
0.856 0.817 0.586
0.189 0.706 0.753
0.795 0.831 0.195
0.116 0.675 0.478
0.660 0.529 0.244
0.703 0.164 0.028
0.137 0.464 0.577
0.183 0.039 0.586
0.536 0.863 0.077
0.993 0.196 0.911
0.137 0.674 0.077
0.325 0.442 0.478
0.836 0.539 0.028
0.369 0.498 0.362
0.128 0.498 0.862
0.961 0.144 0.586
0.517 0.706 0.253
0.450 0.341 0.145
0.850 0.477 0.420
0.523 0.150 0.920
0.627 0.477 0.920
0.116 0.442 0.978
0.169 0.964 0.195
0.660 0.130 0.744
0.225 0.217 0.812
0.667 0.333 0.333
0.979 0.303 0.414
0.324 0.021 0.414
0.312 0.970 0.081
0.991 0.354 0.747
0.363 0.354 0.247
0.667 0.333 0.833
0.646 0.009 0.247
0.658 0.970 0.581
0.030 0.688 0.581
0.697 0.021 0.914
0.000 0.000 0.499
0.333 0.667 0.666
0.000 0.000 0.999
0.333 0.667 0.166
0.312 0.342 0.581
0.363 0.009 0.747
0.979 0.676 0.914
0.324 0.303 0.914
0.697 0.676 0.414
0.646 0.637 0.747
0.658 0.688 0.081
0.030 0.342 0.081
0.991 0.637 0.247
0.685 0.044 0.084
0.025 0.377 0.917
0.691 0.710 0.251
0.019 0.710 0.751
0.685 0.642 0.584
0.691 0.981 0.751
0.290 0.981 0.251
0.352 0.377 0.417
0.352 0.975 0.917
0.956 0.315 0.584
0.025 0.648 0.417
0.623 0.975 0.417
0.019 0.309 0.251
0.623 0.648 0.917
0.956 0.642 0.084
0.358 0.044 0.584
0.358 0.315 0.084
0.290 0.309 0.751
0.667 0.333 0.981
0.333 0.667 0.314
0.333 0.667 0.814
0.000 0.000 0.647
0.000 0.000 0.147
0.667 0.333 0.481
```

Its formation enthalpy at 0 K is -2.805 eV per atom. As for the uncorrected energy: -137.32 eV per formula unit.

---

Entry from the Materials Project database: Na2CaAlPS2O12 after structural relaxation (PBE-GGA).

POSCAR file:
```
Na2CaAlPS2O12
1.0
-3.530 7.866 2.452
-2.228 -3.652 -7.875
-16.666 -10.633 10.117
O Al P S Na Ca
72 6 6 12 12 6
Direct
0.522 0.707 0.256
0.533 0.159 0.926
0.127 0.461 0.577
0.626 0.159 0.426
0.662 0.132 0.747
0.112 0.627 0.359
0.856 0.488 0.421
0.880 0.341 0.242
0.122 0.452 0.970
0.329 0.452 0.470
0.164 0.956 0.197
0.963 0.820 0.090
0.668 0.541 0.242
0.287 0.475 0.751
0.184 0.039 0.589
0.381 0.876 0.867
0.437 0.146 0.526
0.458 0.295 0.029
0.993 0.788 0.804
0.955 0.149 0.585
0.783 0.825 0.196
0.194 0.149 0.085
0.005 0.800 0.411
0.217 0.205 0.408
0.215 0.211 0.803
0.209 0.998 0.311
0.323 0.867 0.576
0.294 0.806 0.256
0.666 0.547 0.646
0.855 0.039 0.089
0.795 0.800 0.911
0.540 0.676 0.968
0.461 0.341 0.742
0.171 0.202 0.694
0.792 0.956 0.697
0.856 0.380 0.918
0.042 0.825 0.696
0.185 0.707 0.756
0.206 0.011 0.915
0.549 0.887 0.480
0.495 0.876 0.367
0.136 0.676 0.468
0.188 0.475 0.251
0.702 0.528 0.532
0.470 0.132 0.247
0.465 0.121 0.634
0.513 0.806 0.756
0.805 0.011 0.415
0.882 0.340 0.638
0.368 0.492 0.361
0.656 0.121 0.134
0.538 0.672 0.580
0.333 0.461 0.077
0.881 0.547 0.146
0.796 0.788 0.304
0.827 0.528 0.032
0.031 0.202 0.194
0.788 0.998 0.811
0.458 0.340 0.138
0.837 0.295 0.529
0.987 0.205 0.908
0.515 0.627 0.859
0.709 0.146 0.026
0.134 0.672 0.080
0.524 0.380 0.418
0.338 0.887 0.980
0.631 0.488 0.921
0.996 0.211 0.303
0.857 0.820 0.590
0.544 0.867 0.076
0.873 0.541 0.742
0.124 0.492 0.861
0.355 0.696 0.315
0.988 0.983 0.651
0.680 0.351 0.481
0.995 0.983 0.151
0.671 0.351 0.981
0.341 0.696 0.815
0.288 0.982 0.253
0.357 0.981 0.922
0.624 0.981 0.422
0.948 0.635 0.086
0.694 0.982 0.753
0.687 0.635 0.586
0.024 0.304 0.248
0.620 0.648 0.915
0.027 0.386 0.914
0.029 0.648 0.415
0.280 0.304 0.748
0.953 0.317 0.583
0.364 0.317 0.083
0.352 0.044 0.581
0.692 0.044 0.081
0.358 0.386 0.414
0.694 0.716 0.250
0.022 0.716 0.750
0.327 0.020 0.412
0.658 0.312 0.834
0.654 0.312 0.334
0.310 0.966 0.080
0.319 0.653 0.666
0.983 0.991 0.501
0.656 0.966 0.580
0.693 0.020 0.912
0.009 0.991 0.001
0.333 0.653 0.166
0.996 0.640 0.244
0.643 0.640 0.744
0.335 0.661 0.519
0.664 0.326 0.686
0.662 0.326 0.186
0.325 0.661 0.019
0.993 0.008 0.354
0.014 0.008 0.854
```

Its formation enthalpy at 0 K is -2.506 eV per atom. As for the uncorrected energy: -120.82 eV per formula unit.

---

Entry from the Materials Project database: Na7Ca2Al2P5SO24 after structural relaxation (PBE-GGA).

POSCAR file:
```
Na7Ca2Al2P5SO24
1.0
9.046 0.027 -0.008
-4.500 7.785 -0.010
-0.021 -0.044 21.882
O Na S Ca P Al
72 21 3 6 15 6
Direct
0.651 0.502 0.525
0.132 0.501 0.589
0.363 0.922 0.857
0.079 0.460 0.862
0.110 0.702 0.476
0.083 0.622 0.364
0.822 0.036 0.080
0.824 0.784 0.578
0.686 0.175 0.427
0.339 0.483 0.758
0.145 0.670 0.757
0.992 0.161 0.902
0.507 0.155 0.530
0.816 0.302 0.249
0.819 0.511 0.425
0.373 0.462 0.369
0.470 0.168 0.253
0.287 0.870 0.970
0.500 0.869 0.089
0.772 0.786 0.187
0.964 0.177 0.578
0.841 0.027 0.796
0.821 0.519 0.749
0.657 0.144 0.147
0.554 0.917 0.357
0.483 0.176 0.927
0.479 0.312 0.426
0.220 0.043 0.579
0.124 0.409 0.973
0.832 0.823 0.909
0.550 0.637 0.864
0.011 0.231 0.186
0.852 0.343 0.643
0.700 0.179 0.747
0.292 0.405 0.475
0.585 0.869 0.470
0.582 0.691 0.973
0.987 0.830 0.404
0.376 0.499 0.087
0.856 0.511 0.142
0.019 0.791 0.689
0.825 0.798 0.301
0.498 0.351 0.024
0.211 0.237 0.688
0.502 0.629 0.586
0.977 0.806 0.803
0.648 0.149 0.032
0.375 0.874 0.588
0.189 0.016 0.300
0.218 0.989 0.190
0.860 0.354 0.526
0.164 0.009 0.906
0.658 0.508 0.642
0.491 0.149 0.645
0.964 0.787 0.078
0.824 0.315 0.928
0.975 0.170 0.301
0.529 0.855 0.758
0.684 0.515 0.922
0.204 0.179 0.802
0.501 0.339 0.140
0.843 0.014 0.406
0.485 0.305 0.748
0.173 0.171 0.404
0.762 0.973 0.684
0.525 0.676 0.256
0.127 0.626 0.085
0.694 0.514 0.247
0.137 0.479 0.257
0.320 0.858 0.258
0.847 0.505 0.025
0.220 0.175 0.078
0.048 0.332 0.084
0.361 0.995 0.752
0.638 0.993 0.252
0.332 0.633 0.171
0.015 0.995 0.496
0.669 0.715 0.087
0.991 0.007 0.995
0.286 0.951 0.079
0.677 0.671 0.421
0.650 0.324 0.335
0.286 0.335 0.587
0.995 0.635 0.257
0.324 0.319 0.922
0.335 0.669 0.669
0.639 0.645 0.748
0.993 0.666 0.916
0.007 0.365 0.753
0.048 0.716 0.584
0.984 0.328 0.413
0.670 0.952 0.583
0.666 0.308 0.837
0.299 0.011 0.251
0.330 0.336 0.419
0.661 0.669 0.917
0.333 0.673 0.825
0.001 0.002 0.647
0.332 0.665 0.323
0.332 0.676 0.514
0.002 0.004 0.147
0.332 0.667 0.015
0.708 0.008 0.747
0.950 0.342 0.584
0.659 0.051 0.087
0.661 0.606 0.583
0.398 0.057 0.585
0.991 0.697 0.749
0.309 0.301 0.749
0.947 0.607 0.082
0.003 0.336 0.916
0.659 0.992 0.415
0.990 0.296 0.248
0.399 0.339 0.083
0.328 0.992 0.915
0.006 0.669 0.418
0.700 0.691 0.247
0.009 0.013 0.844
0.676 0.343 0.185
0.673 0.332 0.485
0.669 0.334 0.686
0.664 0.319 0.985
0.982 0.990 0.346
```

Its formation enthalpy at 0 K is -2.787 eV per atom. As for the uncorrected energy: -268.48 eV per formula unit.